Record 1
{
  "formula": "CsTe",
  "functional": "r2SCAN",
  "state": "optimized geometry",
  "sg": "Pbam, No. 55",
  "cell": [[5.084, 0.000, 0.000], [0.000, 6.199, 0.000], [0.000, 0.000, 11.682]],
  "species": ["Cs", "Cs", "Cs", "Cs", "Te", "Te", "Te", "Te"],
  "frac_coords": [[0.500, 0.831, 0.363], [0.500, 0.169, 0.637], [0.500, 0.331, 0.137], [0.500, 0.669, 0.863], [0.000, 0.364, 0.404], [0.000, 0.636, 0.596], [0.000, 0.864, 0.096], [0.000, 0.136, 0.904]]
}



Record 2
{
  "formula": "Mg3In",
  "functional": "r2SCAN",
  "state": "optimized geometry",
  "sg": "I4/mmm, No. 139",
  "cell": [[-3.380, -2.574, 3.401], [0.001, 2.635, 4.762], [-0.712, 1.792, -5.089]],
  "species": ["Mg", "Mg", "Mg", "In"],
  "frac_coords": [[0.500, 0.500, 0.000], [0.750, 0.250, 0.500], [0.250, 0.750, 0.500], [0.000, 0.000, 0.000]]
}



Record 3
{
  "formula": "HoMn6Sn6",
  "functional": "r2SCAN",
  "state": "optimized geometry",
  "sg": "P6/mmm, No. 191",
  "cell": [[-2.566, -4.417, 2.476], [3.951, -0.879, -3.980], [6.490, -0.141, 6.475]],
  "species": ["Ho", "Mn", "Mn", "Mn", "Mn", "Mn", "Mn", "Sn", "Sn", "Sn", "Sn", "Sn", "Sn"],
  "frac_coords": [[0.000, 0.000, 0.000], [0.000, 0.500, 0.753], [0.000, 0.500, 0.247], [0.500, 0.500, 0.247], [0.500, 0.000, 0.247], [0.500, 0.500, 0.753], [0.500, 0.000, 0.753], [0.000, 0.000, 0.665], [0.333, 0.667, 0.500], [0.667, 0.333, 0.000], [0.333, 0.667, 0.000], [0.000, 0.000, 0.335], [0.667, 0.333, 0.500]]
}



Record 4
{
  "formula": "Li2Al",
  "functional": "r2SCAN",
  "state": "optimized geometry",
  "sg": "Cmcm, No. 63",
  "cell": [[0.000, 0.000, 4.431], [4.585, 0.000, 0.000], [-2.292, 4.833, 0.000]],
  "species": ["Li", "Li", "Li", "Li", "Al", "Al"],
  "frac_coords": [[0.250, 0.759, 0.517], [0.750, 0.241, 0.483], [0.250, 0.410, 0.820], [0.750, 0.590, 0.180], [0.250, 0.075, 0.150], [0.750, 0.925, 0.850]]
}



Record 5
{
  "formula": "YCu7O12",
  "functional": "r2SCAN",
  "state": "optimized geometry",
  "sg": "Im-3, No. 204",
  "cell": [[-3.612, 3.612, 3.612], [3.612, -3.612, 3.612], [3.612, 3.612, -3.612]],
  "species": ["Y", "Cu", "Cu", "Cu", "Cu", "Cu", "Cu", "Cu", "O", "O", "O", "O", "O", "O", "O", "O", "O", "O", "O", "O"],
  "frac_coords": [[0.000, 0.000, 0.000], [0.500, 0.000, 0.000], [0.500, 0.500, 0.500], [0.000, 0.500, 0.000], [0.000, 0.000, 0.500], [0.000, 0.500, 0.500], [0.500, 0.500, 0.000], [0.500, 0.000, 0.500], [0.307, 0.830, 0.136], [0.693, 0.170, 0.864], [0.693, 0.830, 0.523], [0.864, 0.693, 0.170], [0.830, 0.136, 0.307], [0.170, 0.477, 0.307], [0.477, 0.307, 0.170], [0.170, 0.864, 0.693], [0.307, 0.170, 0.477], [0.136, 0.307, 0.830], [0.830, 0.523, 0.693], [0.523, 0.693, 0.830]]
}



Record 6
{
  "formula": "HfOs2",
  "functional": "r2SCAN",
  "state": "optimized geometry",
  "sg": "P6_3/mmc, No. 194",
  "cell": [[5.182, 0.000, 0.000], [-2.591, 4.487, 0.000], [0.000, 0.000, 8.542]],
  "species": ["Hf", "Hf", "Hf", "Hf", "Os", "Os", "Os", "Os", "Os", "Os", "Os", "Os"],
  "frac_coords": [[0.333, 0.667, 0.433], [0.667, 0.333, 0.567], [0.667, 0.333, 0.933], [0.333, 0.667, 0.067], [0.173, 0.346, 0.750], [0.173, 0.827, 0.750], [0.346, 0.173, 0.250], [0.827, 0.654, 0.250], [0.654, 0.827, 0.750], [0.000, 0.000, 0.000], [0.827, 0.173, 0.250], [0.000, 0.000, 0.500]]
}



Record 7
{
  "formula": "LaYZn2",
  "functional": "r2SCAN",
  "state": "optimized geometry",
  "sg": "Fm-3m, No. 225",
  "cell": [[0.000, 3.670, 3.670], [3.670, 0.000, 3.670], [3.670, 3.670, 0.000]],
  "species": ["La", "Y", "Zn", "Zn"],
  "frac_coords": [[0.500, 0.500, 0.500], [0.000, 0.000, 0.000], [0.250, 0.250, 0.250], [0.750, 0.750, 0.750]]
}



Record 8
{
  "formula": "TmMgAu",
  "functional": "r2SCAN",
  "state": "optimized geometry",
  "sg": "P-62m, No. 189",
  "cell": [[-0.802, 3.926, -6.317], [-4.532, 1.295, 5.809], [2.580, 2.771, 1.395]],
  "species": ["Tm", "Tm", "Tm", "Mg", "Mg", "Mg", "Au", "Au", "Au"],
  "frac_coords": [[0.589, 0.000, 0.000], [0.000, 0.589, 0.000], [0.411, 0.411, 0.000], [0.249, 0.000, 0.500], [0.000, 0.249, 0.500], [0.751, 0.751, 0.500], [0.333, 0.667, 0.500], [0.667, 0.333, 0.500], [0.000, 0.000, 0.000]]
}



Number 1: E_form -1.064 eV per atom. Number 2: E_form -0.089 eV per atom. Number 3: E_form -0.255 eV per atom. Number 4: E_form -0.181 eV per atom. Number 5: E_form -1.043 eV per atom. Number 6: E_form -0.459 eV per atom. Number 7: E_form -0.336 eV per atom. Number 8: E_form -0.744 eV per atom.